(1)
Here is crystalline SrMnNbBiO6 at its relaxed geometry from Materials Project. Energies are from PBE with a Hubbard U.

Results
Corrected total energy (MP2020 scheme), eV per atom: -7.875
Total energy, eV per formula unit: -72.96
Calculated volume, Å³/f.u.: 135.8
E_form, eV per atom: -2.422

Geometry as CIF:
```
data_SrMnNbBiO6
_chemical_formula_sum 'Sr4 Mn4 Nb4 Bi4 O24'
_space_group_name_H-M_alt 'F -4 3 m'
_space_group_IT_number 216
_space_group_name_Hall 'F -4 2 3'
_cell_length_a 8.1602
_cell_length_b 8.1602
_cell_length_c 8.1602
_cell_angle_alpha 90.00
_cell_angle_beta 90.00
_cell_angle_gamma 90.00
loop_
_atom_site_label
_atom_site_type_symbol
_atom_site_fract_x
_atom_site_fract_y
_atom_site_fract_z
Sr1 Sr 0.0000 0.0000 0.0000
Mn1 Mn 0.2500 0.2500 0.2500
Nb1 Nb 0.2500 0.2500 0.7500
Bi1 Bi 0.0000 0.0000 0.5000
O1 O 0.0048 0.2500 0.7500
```

(2)
Here is crystalline MnNiBi2O6 at its relaxed geometry from Materials Project. Energies are from PBE with a Hubbard U.

Results
Corrected total energy (MP2020 scheme), eV per atom: -6.854
Total energy, eV per formula unit: -60.21
Calculated volume, Å³/f.u.: 121.4
Energy above the lowest structure with this stoichiometry, eV/f.u.: 0.08
E_form, eV per atom: -1.613

Geometry as CIF:
```
data_MnNiBi2O6
_chemical_formula_sum 'Mn4 Ni4 Bi8 O24'
_space_group_name_H-M_alt 'C 1 2/c 1'
_space_group_IT_number 15
_cell_length_a 9.5622
_cell_length_b 5.4843
_cell_length_c 9.7265
_cell_angle_alpha 90.00
_cell_angle_beta 107.77
_cell_angle_gamma 90.00
loop_
_space_group_symop_operation_xyz
'x,y,z'
'-x,-y,-z'
'-x,y,-z+1/2'
'x,-y,z+1/2'
'x+1/2,y+1/2,z'
'-x+1/2,-y+1/2,-z'
'-x+1/2,y+1/2,-z+1/2'
'x+1/2,-y+1/2,z+1/2'
loop_
_atom_site_label
_atom_site_type_symbol
_atom_site_fract_x
_atom_site_fract_y
_atom_site_fract_z
Mn1 Mn 0.2500 0.2500 0.0000
Ni1 Ni 0.0000 0.2365 0.2500
Bi1 Bi 0.1352 0.2294 0.6225
O1 O 0.0884 0.1919 0.0798
O2 O 0.1550 0.0367 0.8400
O3 O 0.1587 0.4622 0.3876
```

(3)
Here is crystalline MnNiBi2O6 at its relaxed geometry from Materials Project. Energies are from PBE with a Hubbard U.

Results
Corrected total energy (MP2020 scheme), eV per atom: -6.855
Total energy, eV per formula unit: -60.22
Calculated volume, Å³/f.u.: 121.7
Energy above the lowest structure with this stoichiometry, eV/f.u.: 0.07
E_form, eV per atom: -1.614

Geometry as CIF:
```
data_MnNiBi2O6
_chemical_formula_sum 'Mn4 Ni4 Bi8 O24'
_space_group_name_H-M_alt 'C 1 2 1'
_space_group_IT_number 5
_cell_length_a 9.6140
_cell_length_b 5.5089
_cell_length_c 9.6702
_cell_angle_alpha 90.00
_cell_angle_beta 108.09
_cell_angle_gamma 90.00
loop_
_space_group_symop_operation_xyz
'x,y,z'
'-x,y,-z'
'x+1/2,y+1/2,z'
'-x+1/2,y+1/2,-z'
loop_
_atom_site_label
_atom_site_type_symbol
_atom_site_fract_x
_atom_site_fract_y
_atom_site_fract_z
Mn1 Mn 0.2480 0.0000 0.2509
Ni1 Ni 0.0000 0.5077 0.0000
Ni2 Ni 0.0000 0.9873 0.5000
Bi1 Bi 0.1329 0.9639 0.8766
Bi2 Bi 0.1350 0.5276 0.3743
O1 O 0.0867 0.9465 0.3297
O2 O 0.0921 0.5545 0.8308
O3 O 0.1495 0.7830 0.0936
O4 O 0.1565 0.7188 0.5907
O5 O 0.1580 0.2829 0.1341
O6 O 0.1596 0.2201 0.6305
```

(4)
Here is crystalline MnNiBi2O6 at its relaxed geometry from Materials Project. Energies are from PBE with a Hubbard U.

Results
Corrected total energy (MP2020 scheme), eV per atom: -6.862
Total energy, eV per formula unit: -60.29
Calculated volume, Å³/f.u.: 119.6
Energy above the lowest structure with this stoichiometry, eV/f.u.: 0.00
E_form, eV per atom: -1.621

Geometry as CIF:
```
data_MnNiBi2O6
_chemical_formula_sum 'Mn2 Ni2 Bi4 O12'
_space_group_name_H-M_alt 'P 1 21/c 1'
_space_group_IT_number 14
_cell_length_a 5.4419
_cell_length_b 5.6612
_cell_length_c 9.4613
_cell_angle_alpha 90.00
_cell_angle_beta 124.85
_cell_angle_gamma 90.00
loop_
_space_group_symop_operation_xyz
'x,y,z'
'-x,-y,-z'
'-x,y+1/2,-z+1/2'
'x,-y+1/2,z+1/2'
loop_
_atom_site_label
_atom_site_type_symbol
_atom_site_fract_x
_atom_site_fract_y
_atom_site_fract_z
Mn1 Mn 0.0000 0.0000 0.0000
Ni1 Ni 0.5000 0.0000 0.5000
Bi1 Bi 0.2600 0.0566 0.7500
O1 O 0.1513 0.0264 0.2422
O2 O 0.2337 0.7117 0.0449
O3 O 0.3345 0.1932 0.0435
```

(5)
Here is crystalline MnBiO3 at its relaxed geometry from Materials Project. Energies are from PBE with a Hubbard U.

Results
Corrected total energy (MP2020 scheme), eV per atom: -7.388
Total energy, eV per formula unit: -33.21
Calculated volume, Å³/f.u.: 62.3
E_form, eV per atom: -1.808

Geometry as CIF:
```
data_MnBiO3
_chemical_formula_sum 'Mn4 Bi4 O12'
_space_group_name_H-M_alt 'P n m a'
_space_group_IT_number 62
_cell_length_a 5.7373
_cell_length_b 7.7566
_cell_length_c 5.6029
_cell_angle_alpha 90.00
_cell_angle_beta 90.00
_cell_angle_gamma 90.00
loop_
_space_group_symop_operation_xyz
'x,y,z'
'-x,-y,-z'
'-x+1/2,-y,z+1/2'
'x+1/2,y,-z+1/2'
'x+1/2,-y+1/2,-z+1/2'
'-x+1/2,y+1/2,z+1/2'
'-x,y+1/2,-z'
'x,-y+1/2,z'
loop_
_atom_site_label
_atom_site_type_symbol
_atom_site_fract_x
_atom_site_fract_y
_atom_site_fract_z
Mn1 Mn 0.0000 0.0000 0.0000
Bi1 Bi 0.0446 0.2500 0.4936
O1 O 0.0349 0.7500 0.1041
O2 O 0.2113 0.5487 0.6750
```

(6)
Here is crystalline MnBiO3 at its relaxed geometry from Materials Project. Energies are from PBE with a Hubbard U.

Results
Corrected total energy (MP2020 scheme), eV per atom: -7.315
Total energy, eV per formula unit: -32.85
Calculated volume, Å³/f.u.: 69.3
E_form, eV per atom: -1.736

Geometry as CIF:
```
data_MnBiO3
_chemical_formula_sum 'Mn8 Bi8 O24'
_space_group_name_H-M_alt 'P 1 21/c 1'
_space_group_IT_number 14
_cell_length_a 10.5001
_cell_length_b 5.4869
_cell_length_c 11.0474
_cell_angle_alpha 90.00
_cell_angle_beta 119.35
_cell_angle_gamma 90.00
loop_
_space_group_symop_operation_xyz
'x,y,z'
'-x,-y,-z'
'-x,y+1/2,-z+1/2'
'x,-y+1/2,z+1/2'
loop_
_atom_site_label
_atom_site_type_symbol
_atom_site_fract_x
_atom_site_fract_y
_atom_site_fract_z
Mn1 Mn 0.0000 0.0000 0.0000
Mn2 Mn 0.1978 0.0314 0.7796
Mn3 Mn 0.5000 0.0000 0.0000
Bi1 Bi 0.1996 0.0214 0.4755
Bi2 Bi 0.3502 0.5006 0.7352
O1 O 0.1196 0.1656 0.1833
O2 O 0.1221 0.6660 0.1151
O3 O 0.1525 0.0785 0.9532
O4 O 0.3382 0.7175 0.3952
O5 O 0.3701 0.2362 0.4071
O6 O 0.3917 0.0954 0.6740
```